Mg14SnW | the Materials Project | PBE | optimized geometry; ΔE to the lowest computed polymorph = 0.23 eV/f.u.; space-group type = Amm2, No. 38; formation enthalpy at 0 K = 0.12 eV/atom
1.0
-5.814 -2.022 1.154
4.489 -1.036 4.149
-2.187 8.908 4.591
Mg W Sn
14 1 1
Cartesian
-4.925 1.547 3.400
-2.662 -0.584 2.729
-0.845 4.881 4.449
-2.015 2.435 2.723
-5.990 5.881 5.633
-1.505 3.364 7.079
0.293 1.902 4.856
1.410 4.371 6.514
-3.144 7.034 5.093
-3.729 3.877 5.024
-3.822 5.461 7.815
-2.694 0.867 5.448
-0.836 6.501 7.226
-0.412 -1.103 4.808
2.498 -0.087 4.224
0.282 0.451 2.124


Zr2N2O | the Materials Project | PBE | optimized geometry; total energy after the MP2020 corrections = -9.93 eV per atom; space-group type = P1, No. 1; formation enthalpy at 0 K = -2.19 eV/atom
1.0
8.871 0.000 0.000
-2.976 8.363 0.000
-2.945 -4.155 7.257
Zr N O
16 16 8
Cartesian
-0.194 2.893 5.398
3.182 7.232 1.501
5.778 -1.308 5.444
2.949 4.192 0.024
-2.871 2.096 3.636
-0.052 6.259 3.547
6.091 1.915 0.322
-2.758 5.475 1.771
-0.267 -3.036 5.714
3.171 0.885 5.188
-3.227 2.260 6.964
2.739 4.329 3.345
-0.168 3.328 2.105
3.116 1.286 1.840
2.977 4.156 7.186
0.234 -0.047 3.974
1.037 1.072 5.646
0.629 4.228 3.954
-0.484 5.468 1.661
-2.308 3.450 5.261
2.175 0.134 0.311
2.337 0.006 3.341
6.415 3.378 1.868
5.240 0.755 1.987
3.567 4.934 5.274
-1.028 -0.907 5.542
1.917 3.101 1.634
-0.772 1.751 3.523
0.777 4.111 6.978
-3.497 0.814 5.352
3.438 2.079 7.024
3.947 5.136 1.749
1.894 6.122 0.100
-0.530 2.170 0.198
-0.629 -0.752 2.003
1.093 -1.880 7.146
-2.186 6.058 3.858
3.701 2.447 3.741
5.125 -1.819 3.410
3.449 -1.251 5.619


Cs2TaCuF6 | the Materials Project | PBE | optimized geometry; total energy after the MP2020 corrections = -5.59 eV per atom; space-group type = Fm-3m, No. 225; formation enthalpy at 0 K = -2.66 eV/atom
1.0
-5.352 1.343 4.791
-6.547 -3.129 -0.864
-2.182 -5.239 4.604
F Ta Cs Cu
6 1 2 1
Cartesian
-6.856 -3.369 2.350
-7.671 -5.326 4.069
-7.225 -3.656 6.181
-8.855 -2.868 4.139
-6.410 -1.699 4.462
-5.226 -4.157 4.392
-7.041 -3.512 4.265
-10.561 -5.269 6.398
-3.520 -1.756 2.133
0.000 0.000 0.000


Re4Cl8O9 | the Materials Project | PBE | optimized geometry; total energy after the MP2020 corrections = -6.63 eV per atom; space-group type = P-1, No. 2; formation enthalpy at 0 K = -1.44 eV/atom
1.0
6.433 0.000 0.000
0.716 6.542 0.000
0.341 2.607 12.746
O Cl Re
9 8 4
Cartesian
4.729 7.081 9.125
4.200 2.783 1.305
1.720 3.969 1.829
5.860 5.779 5.913
3.290 6.366 11.441
3.387 1.304 6.373
1.629 3.371 6.834
5.770 5.181 10.917
2.761 2.068 3.622
5.900 8.250 11.924
5.660 2.124 4.672
1.830 7.026 8.074
2.969 5.782 4.587
4.520 3.367 8.160
1.590 0.899 0.822
1.944 2.915 9.873
5.545 6.234 2.873
2.538 2.266 7.728
2.624 2.511 1.945
4.866 6.638 10.801
4.952 6.883 5.018


MgBr2O | the Materials Project | PBE | optimized geometry; total energy after the MP2020 corrections = -3.56 eV per atom; space-group type = Pnma, No. 62; formation enthalpy at 0 K = -1.10 eV/atom
1.0
0.440 1.435 3.739
7.485 0.457 -1.057
-1.350 11.916 -4.415
Br O Mg
8 4 4
Cartesian
6.115 11.291 -3.969
2.725 7.950 -2.287
4.758 2.040 -0.258
1.818 11.768 -1.475
5.921 8.814 -0.824
0.460 2.517 2.236
0.655 4.994 -0.908
3.851 5.858 0.554
2.973 2.059 -0.055
6.384 5.216 -1.668
0.191 8.592 -0.065
3.602 11.749 -1.678
4.856 6.353 -1.925
4.854 13.057 -2.327
1.722 0.751 0.594
1.720 7.455 0.192


Bi5P3O12F | the Materials Project | PBE | optimized geometry; total energy after the MP2020 corrections = -6.60 eV per atom; space-group type = P6_3, No. 173; formation enthalpy at 0 K = -1.98 eV/atom
1.0
5.164 -8.944 0.000
5.164 8.944 0.000
0.000 0.000 7.155
O Bi P F
24 10 6 2
Cartesian
7.347 -1.025 5.451
4.562 5.850 1.874
2.980 1.025 1.874
7.123 -4.006 4.260
5.256 0.772 0.683
3.297 -4.165 4.260
6.801 1.066 4.144
7.641 -2.521 0.566
7.950 2.068 1.874
3.526 -1.066 0.566
5.766 -5.850 5.451
7.031 4.165 0.683
5.072 -0.772 4.260
3.205 4.006 0.683
7.275 -1.135 2.956
4.324 -5.357 0.566
3.053 1.135 6.534
5.707 -5.733 2.956
2.509 -2.076 2.956
4.620 5.733 6.534
7.818 2.076 6.534
2.686 2.521 4.144
6.004 5.357 4.144
2.378 -2.068 5.451
6.389 -6.360 0.540
5.164 -2.981 2.072
5.164 2.981 2.810
5.164 2.981 5.650
7.477 -0.231 0.540
1.625 -2.353 0.540
8.703 2.353 4.118
2.850 0.231 4.118
3.938 6.360 4.118
5.164 -2.981 6.387
3.740 0.456 0.617
6.639 -5.477 4.195
2.265 -3.011 4.195
6.588 -0.456 4.195
8.063 3.011 0.617
3.689 5.477 0.617
0.000 0.000 0.316
0.000 0.000 3.894


MgTi4Zn2O10 | the Materials Project | PBE | optimized geometry; ΔE to the lowest computed polymorph = 0.53 eV/f.u.; total energy after the MP2020 corrections = -7.81 eV per atom; space-group type = Pmm2, No. 25; formation enthalpy at 0 K = -2.80 eV/atom
1.0
-0.046 -3.340 0.179
2.848 -0.381 -6.359
11.353 0.115 5.077
Ti O Zn Mg
4 10 2 1
Cartesian
8.262 -2.625 0.034
2.475 -0.988 -2.163
5.656 -0.956 -0.741
11.541 -2.592 1.501
11.769 -2.688 -0.230
4.519 -0.864 0.683
7.535 -0.919 0.427
2.240 -2.700 -2.909
6.397 -2.658 -1.050
2.170 -0.887 -0.367
9.402 -2.712 -1.289
11.704 -0.877 2.291
9.606 -2.569 1.427
4.320 -1.006 -2.022
3.230 -2.533 0.452
9.008 -0.816 2.724
10.835 -1.060 -1.355


Sm5Si2B8 | the Materials Project | PBE | optimized geometry; space-group type = P4/mbm, No. 127; formation enthalpy at 0 K = -0.61 eV/atom
1.0
-1.911 -0.302 7.096
5.756 -4.370 1.365
4.732 6.719 1.560
B Sm Si
16 10 4
Cartesian
4.105 -4.152 5.432
2.835 -3.097 4.742
-0.260 -0.520 3.028
-0.849 -1.040 7.052
-0.103 -0.223 1.270
2.659 -1.290 4.473
3.227 -2.609 1.450
4.694 -3.633 1.408
5.918 3.337 5.548
3.947 -4.450 7.190
2.475 -2.455 3.067
1.369 -2.217 5.394
3.995 5.673 1.318
1.010 -1.575 3.719
0.618 -2.063 7.011
0.736 1.046 0.243
2.554 0.053 2.066
4.288 1.023 5.010
3.410 4.221 6.285
5.167 3.764 2.927
7.779 1.536 4.597
6.022 1.994 7.955
0.797 0.510 5.424
3.409 -1.717 7.093
5.166 -2.174 3.735
2.366 3.359 0.780
5.678 0.647 2.418
2.276 2.749 3.681
6.300 -0.702 6.340
2.898 1.400 7.603